LiSiBiO4: relaxed, PBE.

Lattice parameters (Å, degrees): 4.956 7.278 10.655 90.00 90.00 90.00
Fractional coordinates of all 28 atoms:
1 Li 0.241 0.006 0.157
2 Li 0.741 0.506 0.343
3 Li 0.241 0.494 0.657
4 Li 0.741 0.994 0.843
5 Si 0.748 0.766 0.089
6 Si 0.248 0.266 0.411
7 Si 0.748 0.734 0.589
8 Si 0.248 0.234 0.911
9 Bi 0.725 0.259 0.122
10 Bi 0.225 0.759 0.378
11 Bi 0.725 0.241 0.622
12 Bi 0.225 0.741 0.878
13 O 0.143 0.234 0.060
14 O 0.084 0.784 0.072
15 O 0.669 0.581 0.166
16 O 0.632 0.952 0.157
17 O 0.132 0.452 0.343
18 O 0.169 0.081 0.334
19 O 0.584 0.284 0.428
20 O 0.643 0.734 0.440
21 O 0.143 0.266 0.560
22 O 0.084 0.716 0.572
23 O 0.669 0.919 0.666
24 O 0.632 0.548 0.657
25 O 0.132 0.048 0.843
26 O 0.169 0.419 0.834
27 O 0.584 0.216 0.928
28 O 0.643 0.766 0.940

Total magnetic moment (μB per cell): 0.0
DFT total energy (eV per formula unit): -45.48
Energy above the most stable polymorph in this dataset (meV/atom): 67
MP2020-corrected energy (eV/atom): -6.89
Formation enthalpy at 0 K (meV per atom): -2458

K2Na3InO4: relaxed, PBE.

Lattice parameters (Å, degrees): 7.640 9.382 9.658 90.00 90.00 90.00
Fractional coordinates of all 40 atoms:
1 K 0.000 0.231 0.264
2 K 0.000 0.769 0.736
3 K 0.500 0.731 0.236
4 K 0.500 0.269 0.764
5 K 0.746 0.000 0.500
6 K 0.754 0.500 0.000
7 K 0.254 0.000 0.500
8 K 0.246 0.500 0.000
9 Na 0.752 0.482 0.350
10 Na 0.752 0.518 0.650
11 Na 0.748 0.982 0.150
12 Na 0.748 0.018 0.850
13 Na 0.248 0.518 0.650
14 Na 0.248 0.482 0.350
15 Na 0.252 0.018 0.850
16 Na 0.252 0.982 0.150
17 Na 0.000 0.237 0.926
18 Na 0.000 0.763 0.074
19 Na 0.500 0.737 0.574
20 Na 0.500 0.263 0.426
21 In 0.500 0.772 0.871
22 In 0.500 0.228 0.129
23 In 0.000 0.272 0.629
24 In 0.000 0.728 0.371
25 O 0.500 0.569 0.776
26 O 0.500 0.431 0.224
27 O 0.000 0.069 0.724
28 O 0.000 0.931 0.276
29 O 0.767 0.301 0.518
30 O 0.767 0.699 0.482
31 O 0.733 0.801 0.982
32 O 0.733 0.199 0.018
33 O 0.233 0.699 0.482
34 O 0.233 0.301 0.518
35 O 0.267 0.199 0.018
36 O 0.267 0.801 0.982
37 O 0.000 0.441 0.779
38 O 0.000 0.559 0.221
39 O 0.500 0.941 0.721
40 O 0.500 0.059 0.279

Total magnetic moment (μB per cell): 0.0
DFT total energy (eV per formula unit): -42.56
MP2020-corrected energy (eV/atom): -4.53
Formation enthalpy at 0 K (meV per atom): -1658

Bi3Ir3O11: relaxed, PBE.

Lattice parameters (Å, degrees): 9.492 9.492 9.492 90.00 90.00 90.00
Fractional coordinates of all 68 atoms:
1 Bi 0.750 0.750 0.250
2 Bi 0.750 0.250 0.750
3 Bi 0.867 0.867 0.867
4 Bi 0.867 0.133 0.133
5 Bi 0.133 0.867 0.133
6 Bi 0.133 0.133 0.867
7 Bi 0.250 0.250 0.250
8 Bi 0.250 0.750 0.750
9 Bi 0.367 0.367 0.633
10 Bi 0.367 0.633 0.367
11 Bi 0.633 0.367 0.367
12 Bi 0.633 0.633 0.633
13 Ir 0.841 0.500 0.000
14 Ir 0.000 0.841 0.500
15 Ir 0.000 0.500 0.341
16 Ir 0.000 0.500 0.659
17 Ir 0.000 0.159 0.500
18 Ir 0.159 0.500 0.000
19 Ir 0.341 0.000 0.500
20 Ir 0.500 0.000 0.841
21 Ir 0.500 0.000 0.159
22 Ir 0.500 0.341 0.000
23 Ir 0.500 0.659 0.000
24 Ir 0.659 0.000 0.500
25 O 0.790 0.833 0.494
26 O 0.790 0.167 0.506
27 O 0.833 0.494 0.790
28 O 0.833 0.506 0.210
29 O 0.860 0.500 0.500
30 O 0.897 0.897 0.103
31 O 0.897 0.103 0.897
32 O 0.006 0.710 0.667
33 O 0.006 0.290 0.333
34 O 0.000 0.360 0.000
35 O 0.000 0.640 0.000
36 O 0.000 0.000 0.360
37 O 0.000 0.000 0.640
38 O 0.994 0.290 0.667
39 O 0.994 0.710 0.333
40 O 0.103 0.897 0.897
41 O 0.103 0.103 0.103
42 O 0.140 0.500 0.500
43 O 0.167 0.506 0.790
44 O 0.167 0.494 0.210
45 O 0.210 0.833 0.506
46 O 0.210 0.167 0.494
47 O 0.290 0.333 0.006
48 O 0.290 0.667 0.994
49 O 0.333 0.006 0.290
50 O 0.333 0.994 0.710
51 O 0.360 0.000 0.000
52 O 0.397 0.397 0.397
53 O 0.397 0.603 0.603
54 O 0.506 0.790 0.167
55 O 0.506 0.210 0.833
56 O 0.500 0.860 0.500
57 O 0.500 0.140 0.500
58 O 0.500 0.500 0.860
59 O 0.500 0.500 0.140
60 O 0.494 0.790 0.833
61 O 0.494 0.210 0.167
62 O 0.603 0.397 0.603
63 O 0.603 0.603 0.397
64 O 0.640 0.000 0.000
65 O 0.667 0.006 0.710
66 O 0.667 0.994 0.290
67 O 0.710 0.667 0.006
68 O 0.710 0.333 0.994

Total magnetic moment (μB per cell): 4.1
DFT total energy (eV per formula unit): -109.59
MP2020-corrected energy (eV/atom): -6.89
Formation enthalpy at 0 K (meV per atom): -1443

HoAg2: relaxed, PBE.

Lattice parameters (Å, degrees): 3.744 3.744 5.317 110.61 110.61 90.00
Fractional coordinates of all 3 atoms:
1 Ho 0.000 0.000 0.000
2 Ag 0.331 0.331 0.662
3 Ag 0.669 0.669 0.338

DFT total energy (eV per formula unit): -11.25
Formation enthalpy at 0 K (meV per atom): -335

Na5LaO4: relaxed, PBE.

Lattice parameters (Å, degrees): 15.365 15.365 5.571 90.00 90.00 90.00
Fractional coordinates of all 80 atoms:
1 Na 0.989 0.011 0.250
2 Na 0.011 0.989 0.750
3 Na 0.989 0.489 0.250
4 Na 0.011 0.511 0.750
5 Na 0.104 0.357 0.810
6 Na 0.104 0.143 0.810
7 Na 0.123 0.623 0.250
8 Na 0.123 0.877 0.250
9 Na 0.143 0.104 0.310
10 Na 0.143 0.396 0.310
11 Na 0.250 0.250 0.363
12 Na 0.250 0.750 0.750
13 Na 0.250 0.750 0.250
14 Na 0.250 0.250 0.863
15 Na 0.357 0.104 0.310
16 Na 0.357 0.396 0.310
17 Na 0.377 0.623 0.250
18 Na 0.377 0.877 0.250
19 Na 0.396 0.143 0.810
20 Na 0.396 0.357 0.810
21 Na 0.511 0.011 0.250
22 Na 0.489 0.989 0.750
23 Na 0.511 0.489 0.250
24 Na 0.489 0.511 0.750
25 Na 0.604 0.643 0.190
26 Na 0.604 0.857 0.190
27 Na 0.623 0.123 0.750
28 Na 0.623 0.377 0.750
29 Na 0.643 0.604 0.690
30 Na 0.643 0.896 0.690
31 Na 0.750 0.250 0.250
32 Na 0.750 0.250 0.750
33 Na 0.750 0.750 0.137
34 Na 0.750 0.750 0.637
35 Na 0.857 0.604 0.690
36 Na 0.857 0.896 0.690
37 Na 0.877 0.123 0.750
38 Na 0.877 0.377 0.750
39 Na 0.896 0.643 0.190
40 Na 0.896 0.857 0.190
41 La 0.019 0.750 0.713
42 La 0.250 0.519 0.787
43 La 0.250 0.981 0.787
44 La 0.481 0.750 0.713
45 La 0.519 0.250 0.287
46 La 0.750 0.019 0.213
47 La 0.750 0.481 0.213
48 La 0.981 0.250 0.287
49 O 0.006 0.124 0.508
50 O 0.006 0.376 0.508
51 O 0.124 0.006 0.008
52 O 0.124 0.494 0.008
53 O 0.124 0.250 0.109
54 O 0.125 0.750 0.000
55 O 0.250 0.124 0.609
56 O 0.250 0.625 0.500
57 O 0.250 0.875 0.500
58 O 0.250 0.376 0.609
59 O 0.375 0.750 0.000
60 O 0.376 0.250 0.109
61 O 0.376 0.494 0.008
62 O 0.376 0.006 0.008
63 O 0.494 0.124 0.508
64 O 0.494 0.376 0.508
65 O 0.506 0.624 0.492
66 O 0.506 0.876 0.492
67 O 0.624 0.994 0.992
68 O 0.624 0.506 0.992
69 O 0.624 0.750 0.891
70 O 0.625 0.250 0.000
71 O 0.750 0.125 0.500
72 O 0.750 0.375 0.500
73 O 0.750 0.624 0.391
74 O 0.750 0.876 0.391
75 O 0.875 0.250 0.000
76 O 0.876 0.750 0.891
77 O 0.876 0.994 0.992
78 O 0.876 0.506 0.992
79 O 0.994 0.624 0.492
80 O 0.994 0.876 0.492

Total magnetic moment (μB per cell): 0.0
DFT total energy (eV per formula unit): -48.95
Energy above the most stable polymorph in this dataset (meV/atom): 9
MP2020-corrected energy (eV/atom): -5.17
Formation enthalpy at 0 K (meV per atom): -2036

SbH18C3N3Cl6: relaxed, PBE.

Lattice parameters (Å, degrees): 8.155 13.092 19.000 53.64 90.00 90.00
Fractional coordinates of all 124 atoms:
1 Sb 0.834 0.125 0.278
2 Sb 0.166 0.875 0.722
3 Sb 0.666 0.125 0.778
4 Sb 0.334 0.875 0.222
5 H 0.310 0.295 0.646
6 H 0.635 0.686 0.636
7 H 0.061 0.563 0.829
8 H 0.523 0.345 0.066
9 H 0.327 0.767 0.034
10 H 0.722 0.587 0.131
11 H 0.190 0.295 0.146
12 H 0.893 0.105 0.563
13 H 0.581 0.470 0.329
14 H 0.852 0.721 0.454
15 H 0.866 0.996 0.089
16 H 0.278 0.413 0.869
17 H 0.173 0.767 0.534
18 H 0.477 0.655 0.934
19 H 0.607 0.142 0.575
20 H 0.073 0.533 0.753
21 H 0.439 0.563 0.329
22 H 0.136 0.211 0.696
23 H 0.222 0.413 0.369
24 H 0.365 0.314 0.364
25 H 0.157 0.440 0.512
26 H 0.437 0.867 0.514
27 H 0.352 0.279 0.046
28 H 0.607 0.105 0.063
29 H 0.649 0.092 0.983
30 H 0.634 0.996 0.589
31 H 0.845 0.636 0.339
32 H 0.364 0.211 0.196
33 H 0.939 0.437 0.171
34 H 0.081 0.530 0.171
35 H 0.893 0.142 0.075
36 H 0.636 0.789 0.804
37 H 0.107 0.895 0.437
38 H 0.690 0.705 0.354
39 H 0.148 0.279 0.546
40 H 0.023 0.655 0.434
41 H 0.573 0.467 0.747
42 H 0.561 0.437 0.671
43 H 0.366 0.004 0.411
44 H 0.563 0.133 0.486
45 H 0.345 0.364 0.161
46 H 0.149 0.908 0.517
47 H 0.919 0.470 0.829
48 H 0.843 0.560 0.488
49 H 0.778 0.587 0.631
50 H 0.648 0.721 0.954
51 H 0.351 0.908 0.017
52 H 0.937 0.133 0.986
53 H 0.393 0.858 0.425
54 H 0.977 0.345 0.566
55 H 0.851 0.092 0.483
56 H 0.865 0.686 0.136
57 H 0.612 0.660 0.554
58 H 0.343 0.440 0.012
59 H 0.827 0.233 0.466
60 H 0.427 0.533 0.253
61 H 0.864 0.789 0.304
62 H 0.657 0.560 0.988
63 H 0.419 0.530 0.671
64 H 0.155 0.364 0.661
65 H 0.388 0.340 0.446
66 H 0.655 0.636 0.839
67 H 0.112 0.340 0.946
68 H 0.810 0.705 0.854
69 H 0.134 0.004 0.911
70 H 0.063 0.867 0.014
71 H 0.927 0.467 0.247
72 H 0.107 0.858 0.925
73 H 0.135 0.314 0.864
74 H 0.888 0.660 0.054
75 H 0.673 0.233 0.966
76 H 0.393 0.895 0.937
77 C 0.611 0.656 0.939
78 C 0.358 0.901 0.457
79 C 0.649 0.618 0.622
80 C 0.142 0.901 0.957
81 C 0.111 0.344 0.561
82 C 0.889 0.656 0.439
83 C 0.642 0.099 0.543
84 C 0.851 0.618 0.122
85 C 0.351 0.382 0.378
86 C 0.858 0.099 0.043
87 C 0.389 0.344 0.061
88 C 0.149 0.382 0.878
89 N 0.815 0.135 0.512
90 N 0.185 0.865 0.488
91 N 0.315 0.865 0.988
92 N 0.818 0.700 0.353
93 N 0.682 0.700 0.853
94 N 0.182 0.300 0.647
95 N 0.318 0.300 0.147
96 N 0.456 0.494 0.318
97 N 0.044 0.494 0.818
98 N 0.685 0.135 0.012
99 N 0.544 0.506 0.682
100 N 0.956 0.506 0.182
101 Cl 0.133 0.733 0.217
102 Cl 0.061 0.952 0.283
103 Cl 0.568 0.805 0.173
104 Cl 0.784 0.948 0.442
105 Cl 0.840 0.440 0.368
106 Cl 0.925 0.328 0.112
107 Cl 0.716 0.948 0.942
108 Cl 0.284 0.052 0.058
109 Cl 0.075 0.672 0.888
110 Cl 0.633 0.267 0.283
111 Cl 0.160 0.560 0.632
112 Cl 0.432 0.195 0.827
113 Cl 0.561 0.048 0.217
114 Cl 0.932 0.805 0.673
115 Cl 0.867 0.267 0.783
116 Cl 0.660 0.440 0.868
117 Cl 0.939 0.048 0.717
118 Cl 0.439 0.952 0.783
119 Cl 0.068 0.195 0.327
120 Cl 0.367 0.733 0.717
121 Cl 0.340 0.560 0.132
122 Cl 0.425 0.672 0.388
123 Cl 0.575 0.328 0.612
124 Cl 0.216 0.052 0.558

Total magnetic moment (μB per cell): 0.0
DFT total energy (eV per formula unit): -144.25
MP2020-corrected energy (eV/atom): -4.77
Formation enthalpy at 0 K (meV per atom): -611

Question: Which formula does entry 1 have?
Answer: LiSiBiO4

Question: What is the formula in the fourth record?
Answer: HoAg2

Question: The lowest formation enthalpy at 0 K belongs to which entry?
Answer: LiSiBiO4

Question: Which of these has the lowest DFT total energy?
Answer: SbH18C3N3Cl6